Here is an optimized crystal structure of Er2ZnRu from the Materials Project database. Energies are from PBE-GGA.

```
Er2ZnRu
1.0
6.894 0.000 0.000
0.000 6.894 0.000
0.000 0.000 6.894
Er Zn Ru
8 4 4
direct
0.250 0.250 0.250 Er
0.250 0.250 0.750 Er
0.250 0.750 0.250 Er
0.250 0.750 0.750 Er
0.750 0.250 0.250 Er
0.750 0.250 0.750 Er
0.750 0.750 0.250 Er
0.750 0.750 0.750 Er
0.000 0.000 0.000 Zn
0.000 0.500 0.500 Zn
0.500 0.000 0.500 Zn
0.500 0.500 0.000 Zn
0.000 0.000 0.500 Ru
0.000 0.500 0.000 Ru
0.500 0.000 0.000 Ru
0.500 0.500 0.500 Ru
```

Computed properties:
VASP energy = -5.319 eV per atom
Energy of formation = -0.402 eV per atom